No. 1
VASP calculation (GGA-PBE) on crystalline Sm2Mn17C2 at its relaxed geometry.

Structure (extended XYZ):
```
21
Lattice="4.3205 4.7986 0.0000 -4.3205 4.7986 0.0000 0.0000 0.9496 6.3972" Properties=species:S:1:pos:R:3 pbc="T T T"
Sm 0.0000 3.7422 2.2047
Sm 0.0000 6.8046 4.1925
Mn 0.0000 0.9994 0.6053
Mn 0.0000 9.5474 5.7919
Mn 1.9815 4.7986 0.0000
Mn 1.1873 2.0653 4.6042
Mn 1.1873 8.4814 1.7930
Mn -1.1873 8.4814 1.7930
Mn -1.1873 2.0653 4.6042
Mn -1.9815 4.7986 0.0000
Mn -2.2944 4.4579 4.2353
Mn 0.0000 6.4025 0.8226
Mn 2.2944 4.4579 4.2353
Mn 2.2944 6.0888 2.1619
Mn 0.0000 4.1442 5.5746
Mn -2.2944 6.0888 2.1619
Mn 0.0000 0.4748 3.1986
Mn -2.1602 2.3993 0.0000
Mn 2.1602 2.3993 0.0000
C 2.1602 2.8741 3.1986
C -2.1602 2.8741 3.1986
```

Calculated values
* total magnetization: 7.0 μB/f.u.
* space group: No. 12
* calculated formation energy: 6 meV/atom

No. 2
VASP calculation (GGA-PBE) on crystalline Sm12Mn5C15 at its relaxed geometry.

Structure (extended XYZ):
```
32
Lattice="4.0430 2.8084 -1.7038 6.5807 -5.8192 6.0235 -2.1263 -3.0031 -9.9955" Properties=species:S:1:pos:R:3 pbc="T T T"
Sm 2.9421 -0.4191 -1.6728
Sm 0.3346 -0.9782 -8.7816
Sm 7.2421 -3.2123 3.9267
Sm 4.4029 -4.8008 2.5345
Sm 2.4294 -3.4711 0.0432
Sm 1.8441 -5.6066 -4.8657
Sm 4.2027 -6.3695 -0.5263
Sm -0.3276 -3.2708 -6.1686
Sm 0.8116 -2.9479 -2.9332
Sm 4.5851 -3.6732 -3.1379
Sm 1.1189 0.1295 -5.0948
Sm 4.8149 -1.0659 1.7049
Mn 3.7735 -7.4738 -3.3649
Mn -0.3250 -0.4590 -1.5278
Mn 1.0059 -0.8895 0.9207
Mn 5.6998 -3.4762 -0.1681
Mn 2.7975 -2.5376 -5.5078
C 3.0213 -5.9839 -2.6941
C -0.6841 -0.9662 -3.2158
C 2.1172 -1.8722 1.9379
C 0.8735 -1.7301 -0.7789
C -1.7093 -2.4142 -8.0354
C 5.2902 -4.6780 4.8422
C 2.4566 -4.8656 -2.1906
C -0.9536 -1.3468 -4.4829
C 2.9514 -2.6098 2.7015
C 6.2974 -3.3213 1.5052
C 4.5759 -2.2598 -0.8299
C 3.7208 -4.0373 -5.7890
C 6.2262 -4.8476 -1.1796
C 1.7797 -1.8602 -6.8063
C 2.8920 -1.7151 -3.9280
```

Calculated values
* space group: No. 189
* calculated formation energy: -273 meV/atom